Model P:
An optimized crystal structure of Na5Ni2P2C2O14. Source: Materials Project, functional GGA+U.

POSCAR file:
```
Na5Ni2P2C2O14
1.0
8.853 0.000 0.000
0.000 6.661 0.000
-0.273 0.000 10.405
Na Ni P C O
10 4 4 4 28
Cartesian
0.727 1.665 1.149
2.169 0.047 3.966
2.169 3.284 3.966
2.164 0.081 9.007
2.164 3.249 9.007
6.416 3.412 1.398
6.416 6.580 1.398
6.411 3.377 6.439
6.411 6.614 6.439
7.853 4.996 9.256
3.034 4.996 1.142
2.914 4.996 6.353
5.666 1.665 4.052
5.547 1.665 9.263
3.659 1.665 1.472
3.541 1.665 6.669
5.039 4.996 3.736
4.921 4.996 8.933
0.522 4.996 1.473
0.408 4.996 6.704
8.172 1.665 3.701
8.058 1.665 8.932
0.582 1.665 3.521
0.476 1.665 8.829
1.093 4.996 0.289
0.974 4.996 5.545
1.340 4.996 2.487
1.224 4.996 7.730
2.791 0.429 1.094
2.791 2.902 1.094
2.707 0.414 6.290
2.707 2.916 6.290
3.667 4.996 4.459
3.557 4.996 9.662
3.921 1.665 3.019
3.796 1.665 8.218
4.785 4.996 2.187
4.660 4.996 7.386
5.023 1.665 0.743
4.913 1.665 5.946
5.874 3.745 4.115
5.874 6.247 4.115
5.789 3.759 9.311
5.789 6.233 9.311
7.356 1.665 2.675
7.241 1.665 7.918
7.607 1.665 4.860
7.487 1.665 10.116
8.105 4.996 1.576
7.999 4.996 6.884
```

## Properties
Crystal system ... monoclinic
Space-group type ... No. 11


Model Q:
An optimized crystal structure of Na5Ni2P2C2O14. Source: Materials Project, functional GGA+U.

POSCAR file:
```
Na5Ni2P2C2O14
1.0
5.176 0.000 0.000
0.247 8.880 0.000
0.005 0.037 13.321
Na Ni P C O
10 4 4 4 28
Cartesian
1.274 3.735 4.988
1.442 6.693 0.100
1.479 6.786 3.244
1.491 6.830 9.927
1.511 6.874 6.705
3.918 2.044 6.616
3.937 2.088 3.395
3.950 2.132 10.078
3.986 2.225 13.221
4.154 5.183 8.333
1.191 1.378 8.338
1.194 1.348 1.642
4.234 7.570 11.679
4.237 7.539 4.983
1.479 0.721 11.659
1.492 0.755 4.992
3.937 8.163 8.329
3.950 8.196 1.662
1.588 3.889 8.328
1.586 3.761 1.655
3.842 5.157 11.666
3.840 5.028 4.994
0.398 3.365 8.317
0.409 3.192 1.647
0.951 8.258 11.678
0.976 8.295 4.973
1.133 1.627 6.234
1.141 1.642 3.761
1.163 1.582 12.896
1.166 1.552 10.400
1.726 5.007 1.700
1.756 5.166 8.304
2.403 8.455 8.320
2.405 8.535 1.668
2.575 2.910 1.646
2.603 3.071 8.336
2.825 5.847 4.985
2.854 6.008 11.675
3.023 0.383 11.653
3.025 0.463 5.001
3.672 3.752 5.017
3.702 3.911 11.622
4.262 7.365 2.921
4.266 7.336 0.425
4.287 7.276 9.560
4.295 7.291 7.088
4.453 0.623 8.348
4.477 0.660 1.643
5.019 5.726 11.674
5.030 5.553 5.004
```

## Properties
Crystal system ... triclinic
Space-group type ... No. 2


Quick one: least stable of them? model Q


Model P:
An optimized crystal structure of Na5Ni2P2C2O14. Source: Materials Project, functional GGA+U.

POSCAR file:
```
Na5Ni2P2C2O14
1.0
8.439 0.000 0.000
-2.029 8.202 0.000
-3.039 -3.896 8.828
Na Ni P C O
10 4 4 4 28
Cartesian
-1.680 3.092 2.038
-2.920 4.337 5.152
0.834 1.145 2.122
-0.545 -0.846 6.807
1.414 7.129 2.093
1.957 -2.823 6.735
3.916 5.151 2.021
2.537 3.160 6.706
6.291 -0.032 3.676
5.051 1.214 6.790
-1.601 6.064 1.356
-0.286 2.338 7.469
3.657 1.967 1.359
4.972 -1.759 7.472
-3.071 4.158 8.114
1.207 4.239 0.719
2.165 0.066 8.109
6.442 0.148 0.714
-1.339 6.387 3.845
-0.544 2.000 4.981
3.915 2.305 3.847
4.710 -2.082 4.983
-4.024 2.961 8.417
-1.787 -3.008 7.226
-2.087 5.454 3.320
-2.297 -0.263 8.200
-0.686 1.849 3.723
-1.165 1.211 5.821
0.011 4.734 1.557
-1.892 3.663 7.226
1.291 -1.041 2.995
0.772 -1.686 5.105
2.480 0.458 0.615
0.172 2.934 5.514
1.991 3.206 1.557
2.141 5.460 0.397
1.230 -1.155 8.431
1.380 1.099 7.272
3.199 1.371 3.314
0.891 3.848 8.213
2.599 5.992 3.723
2.080 5.346 5.833
5.263 0.643 1.602
3.360 -0.429 7.271
4.536 3.094 3.007
4.057 2.456 5.105
5.668 4.568 0.628
5.458 -1.149 5.509
5.158 7.314 1.602
7.395 1.344 0.411
```

## Properties
Crystal system ... triclinic
Space-group type ... No. 2


Model Q:
An optimized crystal structure of Na5Ni2P2C2O14. Source: Materials Project, functional GGA+U.

POSCAR file:
```
Na5Ni2P2C2O14
1.0
8.407 0.000 0.000
-1.944 8.190 0.000
-3.104 -3.868 8.892
Na Ni P C O
10 4 4 4 28
Cartesian
0.000 0.000 0.000
-1.490 -2.042 4.782
-2.442 2.050 8.876
-0.870 4.182 4.729
1.550 -0.898 3.138
0.033 0.117 8.872
1.843 2.001 4.787
3.461 7.045 1.675
2.850 -1.906 8.886
4.704 3.096 3.131
-1.152 1.173 5.441
-0.261 -3.071 8.184
2.130 5.331 5.443
2.954 1.042 8.188
-2.699 -0.790 7.499
1.284 -1.111 6.111
0.570 3.306 7.549
4.532 3.016 6.127
-1.350 0.843 2.974
3.066 1.162 1.770
1.911 4.940 2.959
6.316 5.235 1.809
-2.652 2.520 5.245
-1.462 6.032 0.989
-2.013 5.384 3.082
-3.377 3.639 7.443
-0.660 1.785 3.549
-1.907 -1.789 8.375
-1.721 0.423 7.166
0.305 -2.291 6.438
0.508 -0.063 5.211
2.357 0.197 1.222
0.083 2.659 6.209
1.804 4.831 1.697
1.296 4.178 3.806
-0.619 3.790 8.421
2.394 -1.681 5.207
3.735 1.922 0.939
3.118 1.311 3.029
1.776 -0.474 7.412
2.666 5.870 3.470
1.309 2.277 8.443
1.505 4.503 7.223
3.568 1.864 6.464
3.813 4.038 5.210
5.580 4.295 1.280
5.241 -1.435 6.202
6.957 0.712 1.708
6.451 0.036 3.802
4.550 -0.253 8.363
```

## Properties
Crystal system ... triclinic
Space-group type ... No. 1


Quick one: least stable of them? model Q


Model P:
An optimized crystal structure of Na3NiPCO7. Source: Materials Project, functional GGA+U.

POSCAR file:
```
Na3NiPCO7
1.0
3.023 -4.163 0.821
-2.948 0.431 13.035
-6.846 -5.494 -1.367
O Ni Na P C
28 4 12 4 4
Cartesian
-2.185 -4.167 1.359
-6.164 -6.389 7.390
-0.607 -2.837 5.100
-4.690 -6.604 0.872
-4.858 -4.519 2.920
-3.644 -2.809 4.412
-6.785 -7.554 10.717
-6.192 -5.001 0.480
-1.460 -1.457 8.290
-6.879 -4.224 11.860
0.108 -5.002 0.630
-6.332 -4.304 9.438
0.014 -1.673 1.773
-5.405 -4.440 5.342
-5.118 -2.593 10.930
-0.439 -4.923 3.052
-3.127 -6.418 8.077
-7.666 -4.785 6.997
0.895 -4.441 5.493
-1.653 -6.633 1.560
-1.366 -4.787 7.147
-4.585 -5.059 11.132
-5.311 -7.769 4.199
-1.913 -4.707 9.569
-0.579 -4.225 12.011
-3.111 -5.275 4.613
-3.659 -3.952 7.876
-2.081 -2.622 11.618
-5.639 -4.235 7.436
-4.166 -4.450 0.921
-2.606 -4.775 11.572
-1.131 -4.992 5.051
-4.949 -6.778 9.448
-2.583 -2.337 6.407
-6.707 -5.832 3.819
-5.662 -6.673 12.601
-8.181 -5.617 10.337
1.410 -3.610 2.153
-4.188 -6.889 6.082
-3.296 -2.233 9.560
-0.064 -3.394 8.670
-3.475 -6.993 2.930
-1.109 -2.553 -0.110
-1.822 -2.449 3.042
-2.529 -4.995 8.166
-5.715 -4.016 10.842
-4.241 -4.231 4.324
-1.056 -5.210 1.648
-0.851 -2.954 11.907
0.623 -3.170 5.389
-7.393 -6.056 7.101
-5.919 -6.272 0.583
```


Model Q:
An optimized crystal structure of Na3NiPCO7. Source: Materials Project, functional GGA+U.

POSCAR file:
```
Na3NiPCO7
1.0
-1.925 -3.639 7.391
6.679 2.093 4.753
-4.255 7.333 2.599
O Ni Na C P
28 4 12 4 4
Cartesian
0.331 2.436 8.948
0.094 3.375 5.611
-1.409 0.414 5.861
0.342 6.847 9.524
-1.563 -0.312 9.373
2.893 3.280 4.542
2.471 2.600 11.682
-3.962 3.980 10.843
1.954 0.528 9.419
1.860 5.389 8.764
1.097 0.828 7.121
0.821 4.497 11.247
4.399 1.827 3.747
-0.423 1.303 3.349
-1.557 5.272 5.177
5.399 3.694 5.804
-0.626 4.988 7.448
-1.932 -1.783 5.749
2.371 1.084 4.429
2.011 6.116 5.242
-2.442 2.522 10.084
0.096 -1.040 5.065
-4.927 2.122 8.765
-2.291 3.250 6.561
2.739 2.553 8.054
-1.945 4.727 10.133
-2.045 3.211 2.876
2.359 7.593 8.813
0.107 4.404 9.302
-2.270 5.178 3.231
0.329 1.403 5.284
2.706 0.629 11.355
3.579 3.940 9.674
-1.946 1.478 7.973
4.645 1.844 7.137
0.477 5.796 14.648
0.051 6.844 6.022
2.359 4.345 6.654
1.139 -0.371 2.954
-0.723 1.074 10.993
-4.251 3.977 7.340
0.342 -1.023 8.456
3.517 -1.146 9.024
-1.900 6.569 8.576
3.210 2.067 4.242
1.531 6.607 9.028
-1.093 -0.800 5.562
-2.772 3.740 10.347
-0.830 2.417 2.317
-1.110 4.164 6.199
1.267 3.390 12.271
1.547 1.644 8.388
```


Quick one: least stable of them? model Q


Model P:
An optimized crystal structure of VC2O6. Source: Materials Project, functional GGA+U.

POSCAR file:
```
VC2O6
1.0
-5.012 5.012 4.635
5.012 -5.012 4.635
5.012 5.012 -4.635
V C O
4 8 24
Cartesian
2.506 2.208 -1.159
2.804 -2.506 5.794
2.506 2.804 3.476
2.208 7.518 1.159
4.487 -2.873 3.293
7.885 -0.525 1.342
5.536 2.139 -0.975
2.139 0.525 1.342
2.139 4.487 0.975
5.536 2.873 3.293
2.873 0.525 5.610
-0.525 2.873 3.660
5.667 -2.828 2.778
2.133 0.706 0.073
2.961 3.490 -2.475
2.184 -0.655 1.857
4.357 2.184 -0.460
6.534 2.051 -0.157
4.306 -2.879 4.562
7.840 0.655 1.857
2.051 3.490 0.157
2.051 1.522 2.160
2.828 -0.655 5.095
-0.706 2.879 2.391
6.534 2.961 2.475
4.357 2.828 2.778
2.184 5.667 0.460
2.961 1.522 4.792
2.133 4.306 2.244
0.655 2.828 4.175
-1.522 2.961 4.478
0.706 7.890 -0.073
-2.133 5.718 2.244
2.879 4.306 4.708
0.706 7.145 2.391
-1.522 2.051 7.110
```

## Properties
Crystal system ... tetragonal
Space-group type ... No. 122


Model Q:
An optimized crystal structure of VC2O6. Source: Materials Project, functional GGA+U.

POSCAR file:
```
VC2O6
1.0
7.606 0.000 0.000
0.000 7.134 0.000
0.000 0.000 9.238
V C O
4 8 24
Cartesian
1.099 1.688 0.000
2.704 5.255 4.619
4.902 1.879 0.000
6.507 5.446 4.619
1.669 4.102 7.166
1.874 3.006 2.511
1.929 6.573 7.130
2.134 0.535 2.547
5.472 6.599 7.166
5.677 0.561 2.511
5.732 4.128 7.130
5.937 3.032 2.547
0.566 5.614 4.640
1.173 3.227 7.893
1.180 3.038 1.454
1.492 5.390 7.704
1.564 0.353 1.430
1.576 0.466 7.738
2.226 4.033 3.119
2.239 3.921 6.049
2.311 1.823 3.085
2.623 6.605 6.073
2.630 6.794 3.274
3.237 2.047 0.021
4.369 5.088 4.640
4.976 0.340 7.893
4.983 0.529 1.454
5.295 5.311 7.704
5.367 3.214 1.430
5.379 3.101 7.738
6.029 6.668 3.119
6.042 6.781 6.049
6.113 1.744 3.085
6.426 4.096 6.073
6.433 3.907 3.274
7.040 1.521 0.021
```

## Properties
Crystal system ... orthorhombic
Space-group type ... No. 33


Quick one: least stable of them? model Q